# TiZnMoP3O12

TiZnMoP3O12 after structural relaxation (PBE with a Hubbard U, the Materials Project).

extended XYZ file:
```
36
Lattice="4.373 2.525 7.069 -4.373 2.525 7.069 0.000 -5.050 7.069" Properties=species:S:1:pos:R:3 pbc="T T T"
Ti 0.000 0.000 0.000
Ti 0.000 0.000 10.604
Zn 0.000 0.000 3.077
Zn 0.000 0.000 13.681
Mo 0.000 0.000 6.118
Mo 0.000 0.000 16.722
P -1.251 -2.273 8.405
P -3.031 -0.305 11.939
P -1.343 2.220 8.405
P 1.779 -2.472 11.939
P 2.594 0.053 8.405
P 1.251 2.777 11.939
O -1.588 0.077 4.712
O -3.367 -1.047 10.683
O -0.596 -3.686 8.586
O -0.777 -1.610 7.148
O -3.548 -1.098 13.200
O 0.728 -1.413 4.712
O -2.895 2.359 8.586
O -0.823 -1.428 9.665
O -1.006 1.478 7.148
O -1.479 -0.166 12.121
O 0.860 1.337 4.712
O -0.826 1.427 9.665
O -0.728 -1.413 15.315
O 1.783 0.133 7.148
O 0.883 -1.198 12.121
O 2.591 -2.392 10.683
O 1.648 0.002 9.665
O -0.860 1.337 15.315
O 0.596 1.364 12.121
O 2.725 -2.523 13.200
O 0.777 3.440 10.683
O 3.490 1.327 8.586
O 1.588 0.077 15.315
O 0.823 3.622 13.200
```

Summary:
As for the energy of formation from the pure elements: -47.5 eV per formula unit.

=====

# LiCoPO4

LiCoPO4 after structural relaxation (PBE with a Hubbard U, the Materials Project).

extended XYZ file:
```
28
Lattice="5.485 0.000 0.000 0.000 6.128 0.000 -2.543 0.000 10.414" Properties=species:S:1:pos:R:3 pbc="T T T"
Li -0.359 0.159 3.131
Li -1.630 2.905 8.338
Li 4.573 3.223 2.075
Li 3.301 5.969 7.282
Co 1.055 4.094 6.255
Co 2.327 5.098 1.048
Co 0.616 1.030 9.365
Co 1.887 2.034 4.159
P 0.410 0.960 6.669
P 1.681 2.103 1.462
P 1.261 4.024 8.952
P 2.532 5.167 3.745
O -0.747 1.167 7.718
O 0.524 1.897 2.511
O 1.403 3.366 0.617
O 0.132 5.826 5.824
O 1.789 0.874 0.486
O 0.518 2.190 5.692
O -0.027 3.942 8.096
O 1.245 5.250 2.889
O 1.698 0.878 7.525
O 2.969 2.186 2.318
O 2.424 3.937 4.721
O 1.153 5.254 9.928
O 2.811 0.302 4.590
O 1.539 2.762 9.797
O 2.418 4.231 7.902
O 3.689 4.961 2.695
```

Summary:
As for the energy of formation from the pure elements: -16.3 eV per formula unit. The energy above the most stable polymorph in this dataset is 79 meV per atom.